! PuCo3 | Materials Project | PBE | relaxed; values from VASP
! M_tot in μB per formula unit: 0.93
! DFT formation energy in meV/atom: 211.0
! Space group: R-3m (166)
&SYSTEM
  ibrav = 0, nat = 12, ntyp = 2
/
ATOMIC_SPECIES
Pu 244.00 Pu.upf
Co 58.93 Co.upf
CELL_PARAMETERS angstrom
8.225 -2.377 0.000
8.225 2.377 0.000
7.538 0.000 4.060
ATOMIC_POSITIONS crystal
Pu 0.000 0.000 0.000
Pu 0.146 0.146 0.146
Pu 0.854 0.854 0.854
Co 0.500 0.500 0.500
Co 0.333 0.333 0.333
Co 0.667 0.667 0.667
Co 0.085 0.582 0.582
Co 0.582 0.582 0.085
Co 0.582 0.085 0.582
Co 0.418 0.915 0.418
Co 0.915 0.418 0.418
Co 0.418 0.418 0.915